Computed, not measured: a relaxed Ti4Si7Ni4 crystal at the PBE-GGA level of DFT.

a = 12.5735 Å, b = 12.5735 Å, c = 4.9509 Å
α = 90.00°, β = 90.00°, γ = 90.00°
Space group I4/mmm (No. 139)
Symmetry-distinct sites (fractional):
Ti1 0.0000 0.1899 0.0000
Ti2 0.1344 0.1344 0.5000
Si1 0.0000 0.0000 0.2510
Si2 0.0000 0.2880 0.5000
Si3 0.0000 0.4067 0.0000
Si4 0.2043 0.2043 0.0000
Ni1 0.1488 0.3512 0.2500

Output
Calculated density ... 5.3 g cm⁻³
Raw total energy ... -0.5064 Ry/atom



Computed, not measured: a relaxed U2C6NO14 crystal at the PBE-GGA level of DFT.

a = 9.5164 Å, b = 16.2284 Å, c = 12.0671 Å
α = 90.00°, β = 123.62°, γ = 90.00°
Space group P2_1/c (No. 14)
Symmetry-distinct sites (fractional):
U1 0.1813 0.1277 0.4528
U2 0.2229 0.6275 0.4461
C1 0.0710 0.5766 0.8207
C2 0.0726 0.1689 0.8215
C3 0.0755 0.6687 0.8196
C4 0.0765 0.0768 0.8207
C5 0.4270 0.0802 0.7696
C6 0.4283 0.1769 0.7689
N1 0.2702 0.1091 0.1493
O1 0.0091 0.6301 0.0484
O2 0.0248 0.1264 0.2381
O3 0.1419 0.6268 0.5511
O4 0.1539 0.5229 0.9030
O5 0.1566 0.2229 0.9029
O6 0.1643 0.0233 0.9017
O7 0.1643 0.7221 0.9000
O8 0.3150 0.0468 0.6610
O9 0.3189 0.6284 0.3532
O10 0.3196 0.2101 0.6596
O11 0.3826 0.1251 0.4706
O12 0.3840 0.6185 0.1330
O13 0.4609 0.7103 0.6227
O14 0.4619 0.5467 0.6228

Output
Calculated density ... 3.4 g cm⁻³
Raw total energy ... -0.5737 Ry/atom



Computed, not measured: a relaxed Cu4AsClO6 crystal at the PBE-GGA level of DFT.

a = 5.5040 Å, b = 11.3327 Å, c = 10.3061 Å
α = 90.00°, β = 90.00°, γ = 90.00°
Space group Pbcm (No. 57)
Symmetry-distinct sites (fractional):
Cu1 0.0327 0.1468 0.2500
Cu2 0.1451 0.0871 0.7500
Cu3 0.2348 0.5533 0.5438
As1 0.3248 0.2500 0.0000
Cl1 0.3808 0.5987 0.7500
O1 0.0464 0.5297 0.1190
O2 0.1233 0.2245 0.6287
O3 0.4859 0.1250 0.0386

Output
Calculated density ... 4.8 g cm⁻³
Raw total energy ... -0.3768 Ry/atom



Short version: energy relative to the elements = -711, -1460, -1088 meV/atom, in the order given.